Record 1
VASP calculation (PBE with a Hubbard U) on a relaxed NaMg14CoO16 crystal. Values from VASP.

## Properties
As for the energy above the most stable polymorph in this dataset: 19 meV/atom. The MP2020-corrected energy comes out at -6.25 eV/atom. Its space-group type is P4/mmm (123). The calculation puts the energy of formation at -271 kJ/mol of atoms.

Structure (Quantum ESPRESSO input):
```
&SYSTEM
  ibrav = 0, nat = 32, ntyp = 4
/
ATOMIC_SPECIES
Mg 24.30 Mg.upf
O 16.00 O.upf
Co 58.93 Co.upf
Na 22.99 Na.upf
CELL_PARAMETERS angstrom
8.5212 0.0000 0.0000
0.0000 8.5212 0.0000
0.0000 0.0000 4.2578
ATOMIC_POSITIONS crystal
Mg 0.2507 0.0000 0.5000
Mg 0.7466 0.2534 0.0000
Mg 0.2534 0.2534 0.0000
Mg 0.7493 0.0000 0.5000
Mg 0.7466 0.7466 0.0000
Mg 0.5000 0.2543 0.5000
Mg 0.0000 0.7493 0.5000
Mg 0.5000 0.0000 0.0000
Mg 0.2534 0.7466 0.0000
Mg 0.0000 0.5000 0.0000
Mg 0.2543 0.5000 0.5000
Mg 0.5000 0.7457 0.5000
Mg 0.0000 0.2507 0.5000
Mg 0.7457 0.5000 0.5000
O 0.7522 0.7522 0.5000
O 0.7522 0.2478 0.5000
O 0.5000 0.2325 0.0000
O 0.5000 0.0000 0.5000
O 0.7675 0.5000 0.0000
O 0.5000 0.5000 0.5000
O 0.0000 0.2319 0.0000
O 0.0000 0.7681 0.0000
O 0.2478 0.2478 0.5000
O 0.7681 0.0000 0.0000
O 0.0000 0.0000 0.5000
O 0.0000 0.5000 0.5000
O 0.2478 0.7522 0.5000
O 0.5000 0.7675 0.0000
O 0.2319 0.0000 0.0000
O 0.2325 0.5000 0.0000
Co 0.0000 0.0000 0.0000
Na 0.5000 0.5000 0.0000
```

***

Record 2
VASP calculation (PBE with a Hubbard U) on a relaxed ZnCoGe2O6 crystal. Values from VASP.

## Properties
The MP2020-corrected energy comes out at -6.61 eV/atom. The calculation puts the energy of formation at -181 kJ/mol of atoms.

Structure (Quantum ESPRESSO input):
```
&SYSTEM
  ibrav = 0, nat = 40, ntyp = 4
/
ATOMIC_SPECIES
O 16.00 O.upf
Co 58.93 Co.upf
Ge 72.64 Ge.upf
Zn 65.41 Zn.upf
CELL_PARAMETERS angstrom
-5.2320 -0.1162 5.6794
5.3002 -0.0681 8.0984
-3.8391 6.6767 -0.5471
ATOMIC_POSITIONS crystal
O 0.9829 0.0481 0.2006
O 0.0538 0.8128 0.3704
O 0.4295 0.8737 0.4147
O 0.5537 0.3128 0.3703
O 0.0973 0.7020 0.9688
O 0.0169 0.9521 0.7995
O 0.6926 0.9371 0.1334
O 0.5707 0.1263 0.5852
O 0.9293 0.3737 0.4148
O 0.4028 0.7980 0.0312
O 0.5975 0.2020 0.9688
O 0.8074 0.5629 0.8666
O 0.4829 0.5479 0.2005
O 0.2091 0.3763 0.6967
O 0.1925 0.4369 0.1334
O 0.7911 0.6237 0.3032
O 0.3076 0.0630 0.8666
O 0.4463 0.6870 0.6295
O 0.9026 0.2980 0.0313
O 0.5172 0.4519 0.7994
O 0.9463 0.1872 0.6297
O 0.0705 0.6263 0.5853
O 0.2910 0.1237 0.3033
O 0.7090 0.8763 0.6968
Co 0.2242 0.8745 0.9009
Co 0.7242 0.3743 0.9009
Co 0.7758 0.1256 0.0991
Co 0.2757 0.6259 0.0994
Ge 0.9621 0.4276 0.2110
Ge 0.4668 0.3223 0.6104
Ge 0.4622 0.9278 0.2111
Ge 0.5379 0.0723 0.7890
Ge 0.0332 0.1777 0.3896
Ge 0.5332 0.6777 0.3895
Ge 0.0379 0.5722 0.7889
Ge 0.9668 0.8223 0.6105
Zn 0.1187 0.1248 0.7562
Zn 0.8812 0.8753 0.2437
Zn 0.3812 0.3752 0.2438
Zn 0.6188 0.6247 0.7562
```

***

Record 3
VASP calculation (PBE with a Hubbard U) on a relaxed Cd4MoW3O16 crystal. Values from VASP.

## Properties
The MP2020-corrected energy comes out at -7.48 eV/atom. Its space-group type is C2 (5). The calculation puts the energy of formation at -188 kJ/mol of atoms.

Structure (Quantum ESPRESSO input):
```
&SYSTEM
  ibrav = 0, nat = 24, ntyp = 4
/
ATOMIC_SPECIES
O 16.00 O.upf
W 183.84 W.upf
Cd 112.41 Cd.upf
Mo 95.94 Mo.upf
CELL_PARAMETERS angstrom
5.9653 5.1167 0.0000
-5.9653 5.1167 0.0000
0.0000 0.2022 5.1832
ATOMIC_POSITIONS crystal
O 0.0630 0.6941 0.6360
O 0.1486 0.0532 0.8015
O 0.8047 0.4356 0.3634
O 0.8508 0.9476 0.6988
O 0.3504 0.4458 0.7035
O 0.6938 0.0645 0.1378
O 0.9468 0.8514 0.1985
O 0.5542 0.6496 0.2965
O 0.3059 0.9370 0.3640
O 0.1932 0.5647 0.1381
O 0.4472 0.3518 0.2019
O 0.6482 0.5528 0.7981
O 0.4353 0.8068 0.8619
O 0.9355 0.3062 0.8622
O 0.5644 0.1953 0.6366
O 0.0524 0.1492 0.3012
W 0.4134 0.5866 0.0000
W 0.9135 0.0865 0.0000
W 0.0857 0.9143 0.5000
Cd 0.9040 0.5960 0.9981
Cd 0.4040 0.0960 0.0019
Cd 0.1003 0.4045 0.5013
Cd 0.5955 0.8997 0.4987
Mo 0.5891 0.4109 0.5000
```

***

Record 4
VASP calculation (PBE with a Hubbard U) on a relaxed Li24Mn7Cr5O36 crystal. Values from VASP.

## Properties
As for the energy above the most stable polymorph in this dataset: 1 meV/atom. The MP2020-corrected energy comes out at -6.87 eV/atom. Its space-group type is P1 (1). The calculation puts the energy of formation at -212 kJ/mol of atoms.

Structure (Quantum ESPRESSO input):
```
&SYSTEM
  ibrav = 0, nat = 72, ntyp = 4
/
ATOMIC_SPECIES
Mn 54.94 Mn.upf
O 16.00 O.upf
Li 6.94 Li.upf
Cr 52.00 Cr.upf
CELL_PARAMETERS angstrom
5.0055 0.0000 0.0000
-0.7907 9.7074 0.0000
-2.3860 -1.8327 12.9466
ATOMIC_POSITIONS crystal
Mn 0.5572 0.2502 0.8607
Mn 0.2237 0.2499 0.1941
Mn 0.5539 0.7486 0.3596
Mn 0.4444 0.7498 0.1390
Mn 0.8925 0.7513 0.0288
Mn 0.8905 0.2500 0.5274
Mn 0.2237 0.7501 0.6940
O 0.0694 0.1362 0.2843
O 0.1850 0.1363 0.5218
O 0.6706 0.3636 0.7645
O 0.6719 0.6390 0.9049
O 0.1916 0.6383 0.0240
O 0.9316 0.3636 0.2154
O 0.9314 0.8637 0.7153
O 0.8117 0.8612 0.4742
O 0.5982 0.3636 0.5487
O 0.4795 0.8611 0.8086
O 0.0036 0.3634 0.4311
O 0.4026 0.1364 0.9508
O 0.0695 0.6364 0.7846
O 0.1462 0.3611 0.6419
O 0.5186 0.1365 0.1885
O 0.0028 0.1389 0.0707
O 0.0035 0.6390 0.5707
O 0.3368 0.8635 0.5978
O 0.3370 0.1390 0.7374
O 0.5184 0.6364 0.6885
O 0.6703 0.1386 0.4039
O 0.4026 0.6364 0.4507
O 0.3367 0.3632 0.0975
O 0.7362 0.1363 0.6176
O 0.1427 0.8613 0.1434
O 0.4792 0.3610 0.3085
O 0.7365 0.6361 0.1182
O 0.6661 0.8614 0.2613
O 0.8518 0.1365 0.8552
O 0.2649 0.8640 0.3823
O 0.2649 0.3641 0.8820
O 0.5969 0.8636 0.0482
O 0.8506 0.6364 0.3552
O 0.8131 0.3616 0.9753
O 0.3320 0.6386 0.2377
O 0.0036 0.8636 0.9315
Li 0.6188 0.9993 0.7195
Li 0.3308 0.7504 0.9174
Li 0.9966 0.2500 0.7509
Li 0.9542 0.0000 0.3870
Li 0.3827 0.4997 0.7786
Li 0.6634 0.2501 0.0843
Li 0.6194 0.5016 0.2211
Li 0.6635 0.7501 0.5841
Li 0.2874 0.5006 0.5540
Li 0.7178 0.0010 0.9460
Li 0.0509 0.0002 0.6129
Li 0.4995 0.4999 0.0003
Li 0.9525 0.4996 0.8864
Li 0.8314 0.5002 0.6669
Li 0.1646 0.9999 0.8335
Li 0.9997 0.7495 0.2505
Li 0.3302 0.2500 0.4177
Li 0.7159 0.4998 0.4452
Li 0.1640 0.5005 0.3334
Li 0.0510 0.4999 0.1133
Li 0.8323 0.9999 0.1670
Li 0.2837 0.9987 0.0537
Li 0.4982 0.9997 0.5002
Li 0.3823 0.9996 0.2789
Cr 0.7727 0.7498 0.8074
Cr 0.4395 0.2499 0.6402
Cr 0.7725 0.2501 0.3068
Cr 0.1064 0.2499 0.9736
Cr 0.1043 0.7504 0.4734
```

***

Record 5
VASP calculation (PBE with a Hubbard U) on a relaxed CsMgFeS2O8 crystal. Values from VASP.

## Properties
As for the energy above the most stable polymorph in this dataset: 0 meV/atom. The MP2020-corrected energy comes out at -6.46 eV/atom. Its space-group type is P1 (1). The calculation puts the energy of formation at -187 kJ/mol of atoms.

Structure (Quantum ESPRESSO input):
```
&SYSTEM
  ibrav = 0, nat = 13, ntyp = 5
/
ATOMIC_SPECIES
O 16.00 O.upf
Cs 132.91 Cs.upf
Mg 24.30 Mg.upf
S 32.06 S.upf
Fe 55.84 Fe.upf
CELL_PARAMETERS angstrom
-1.5673 0.0981 -4.9426
2.9639 -3.9003 1.7046
-7.4900 -4.6973 2.2805
ATOMIC_POSITIONS crystal
O 0.6674 0.3328 0.6328
O 0.9456 0.5993 0.8507
O 0.3111 0.9226 0.1452
O 0.6556 0.0546 0.8509
O 0.0770 0.3892 0.1446
O 0.4007 0.3444 0.8508
O 0.6099 0.6882 0.1434
O 0.3344 0.6661 0.3691
Cs 0.0006 0.9998 0.4727
Mg 0.3340 0.6659 0.9344
S 0.3331 0.6666 0.2086
S 0.6673 0.3328 0.7926
Fe 0.0007 0.0002 0.0184
```